Record 1
This record from Materials Project describes a geometry-optimized CeAlGa structure. The functional is PBE.

Unit cell a=4.3523 b=4.3523 c=4.1029 alpha=90.00 beta=90.00 gamma=120.00
Space group P-6m2 (No. 187)
Asymmetric unit:
Ce 0.0000 0.0000 0.0000 x1
Al 0.3333 0.6667 0.5000 x1
Ga 0.6667 0.3333 0.5000 x1

Summary:
Formation energy   -492 meV per atom
E_tot   -4.73 eV/atom
Total magnetization   0.02 μB per atom

Record 2
This record from Materials Project describes a geometry-optimized UNbO5 structure. The functional is PBE.

Unit cell a=4.133 b=6.505 c=7.546 alpha=90.00 beta=90.00 gamma=90.00
Space group P222_1 (No. 17)
Asymmetric unit:
U 0.000 0.043 0.250 x2
Nb 0.075 0.500 0.000 x2
O 0.000 0.412 0.250 x2
O 0.004 0.194 0.955 x4
O 0.491 0.500 0.500 x2
O 0.500 0.050 0.250 x2

Summary:
Formation energy   -3382 meV per atom
E_tot   -9.48 eV/atom

Record 3
This record from Materials Project describes a geometry-optimized TeMoS structure. The functional is PBE.

Unit cell a=3.3625 b=3.3625 c=39.7425 alpha=90.00 beta=90.00 gamma=120.00
Space group P-3m1 (No. 164)
Asymmetric unit:
Te 0.3333 0.6667 0.3572 x2
Te 0.3333 0.6667 0.4522 x2
Mo 0.3333 0.6667 0.2181 x2
Mo 0.3333 0.6667 0.5953 x2
S 0.3333 0.6667 0.7438 x2
S 0.3333 0.6667 0.8200 x2

Summary:
Formation energy   -661 meV per atom
E_tot   -6.54 eV/atom
Total magnetization   0.00 μB per atom

Record 4
This record from Materials Project describes a geometry-optimized Nd4Mg3Co2 structure. The functional is PBE.

Unit cell a=7.626 b=3.850 c=8.311 alpha=90.00 beta=109.80 gamma=90.00
Space group P2/m (No. 10)
Asymmetric unit:
Nd 0.097 0.000 0.225 x2
Nd 0.398 0.000 0.682 x2
Mg 0.000 0.500 0.500 x1
Mg 0.294 0.500 0.002 x2
Co 0.352 0.500 0.394 x2

Summary:
Formation energy   -107 meV per atom
E_tot   -4.34 eV/atom

Record 5
This record from Materials Project describes a geometry-optimized InGaSe2 structure. The functional is PBE.

Unit cell a=8.287 b=8.287 c=6.336 alpha=90.00 beta=90.00 gamma=90.00
Space group P4/ncc (No. 130, origin choice 2)
Asymmetric unit:
In 0.250 0.250 0.145 x4
Ga 0.250 0.750 0.000 x4
Se 0.089 0.589 0.250 x8

Summary:
Formation energy   -741 meV per atom
E_tot   -3.70 eV/atom
Total magnetization   0.00 μB per atom

Record 6
This record from Materials Project describes a geometry-optimized Rb2TlAu3 structure. The functional is PBE.

Unit cell a=5.827 b=6.972 c=9.292 alpha=90.00 beta=90.00 gamma=90.00
Space group Pmma (No. 51)
Asymmetric unit:
Rb 0.250 0.000 0.131 x2
Rb 0.250 0.500 0.368 x2
Tl 0.250 0.500 0.926 x2
Au 0.000 0.000 0.500 x2
Au 0.250 0.207 0.716 x4

Summary:
Formation energy   -277 meV per atom
E_tot   -2.63 eV/atom